# Er4MgZr4O14

An optimized crystal structure of Er4MgZr4O14 (PBE, the Materials Project).

Results
The calculation puts the formation energy at -3.04 eV/atom. For the energy above the lowest structure with this stoichiometry, the calculation gives 12.27 eV per formula unit. The total DFT energy (no corrections) comes out at -7.99 eV per atom.

Structure (CIF):
```
data_Er4MgZr4O14
_chemical_formula_sum 'Er4 Mg1 Zr4 O14'
_space_group_name_H-M_alt 'P 1 2/m 1'
_space_group_IT_number 10
_cell_length_a 6.977
_cell_length_b 4.201
_cell_length_c 10.871
_cell_angle_alpha 90.00
_cell_angle_beta 90.25
_cell_angle_gamma 90.00
loop_
_space_group_symop_operation_xyz
'x,y,z'
'-x,-y,-z'
'-x,y,-z'
'x,-y,z'
loop_
_atom_site_label
_atom_site_type_symbol
_atom_site_fract_x
_atom_site_fract_y
_atom_site_fract_z
Er1 Er 0.000 0.000 0.000
Er2 Er 0.244 0.500 0.287
Er3 Er 0.500 0.000 0.000
Mg1 Mg 0.500 0.500 0.000
Zr1 Zr 0.000 0.000 0.500
Zr2 Zr 0.243 0.500 0.737
Zr3 Zr 0.500 0.000 0.500
O1 O 0.018 0.500 0.139
O2 O 0.024 0.500 0.607
O3 O 0.246 0.000 0.633
O4 O 0.248 0.000 0.379
O5 O 0.256 0.000 0.883
O6 O 0.473 0.500 0.607
O7 O 0.482 0.500 0.162
```